[1]
Below is a relaxed Na4Hf2Ge3O12 crystal, with properties calculated at the GGA-PBE level.

Values from the calculation:
Corrected total energy (MP2020 scheme), eV per atom: -7.3724
Energy of formation from the pure elements, eV per atom: -2.684

a b c (Å): 9.3374 9.3374 9.3374
angles (deg): 61.36 61.36 61.36
Last column: nearest neighbours and their distance in Å.
Element x y z (fractional)
O 0.7382 0.0759 0.9388  1 Ge 1.77
O 0.5097 0.2934 0.1369  1 Ge 1.76
O 0.5759 0.2382 0.4388  1 Ge 1.77
O 0.2934 0.1369 0.5097  1 Ge 1.76
O 0.0612 0.2618 0.9241  1 Ge 1.77
O 0.6369 0.7934 0.0097  1 Ge 1.76
O 0.9241 0.0612 0.2618  1 Ge 1.77
O 0.5612 0.4241 0.7618  1 Ge 1.77
O 0.0097 0.6369 0.7934  1 Ge 1.76
O 0.2382 0.4388 0.5759  1 Ge 1.77
O 0.2618 0.9241 0.0612  1 Ge 1.77
O 0.0759 0.9388 0.7382  1 Ge 1.77
O 0.7618 0.5612 0.4241  1 Ge 1.77
O 0.9903 0.3631 0.2066  1 Ge 1.76
O 0.3631 0.2066 0.9903  1 Ge 1.76
O 0.8631 0.4903 0.7066  1 Ge 1.76
O 0.4241 0.7618 0.5612  1 Ge 1.77
O 0.4388 0.5759 0.2382  1 Ge 1.77
O 0.9388 0.7382 0.0759  1 Ge 1.77
O 0.1369 0.5097 0.2934  1 Ge 1.76
O 0.4903 0.7066 0.8631  1 Ge 1.76
O 0.7066 0.8631 0.4903  1 Ge 1.76
O 0.7934 0.0097 0.6369  1 Ge 1.76
O 0.2066 0.9903 0.3631  1 Ge 1.76
Ge 0.4573 0.7500 0.0427  4 O 1.76-1.77
Ge 0.7500 0.0427 0.4573  4 O 1.76-1.77
Ge 0.5427 0.2500 0.9573  4 O 1.76-1.77
Ge 0.2500 0.9573 0.5427  4 O 1.76-1.77
Ge 0.0427 0.4573 0.7500  4 O 1.76-1.77
Ge 0.9573 0.5427 0.2500  4 O 1.76-1.77
Na 0.6292 0.8708 0.2500  6 O 2.55-2.63
Na 0.5000 0.5000 0.5000  6 O 2.47
Na 0.2500 0.6292 0.8708  6 O 2.55-2.63
Na 0.8708 0.2500 0.6292  6 O 2.55-2.63
Na 0.0000 0.0000 0.0000  6 O 2.47
Na 0.3708 0.1292 0.7500  6 O 2.55-2.63
Na 0.7500 0.3708 0.1292  6 O 2.55-2.63
Na 0.1292 0.7500 0.3708  6 O 2.55-2.63
Hf 0.8561 0.8561 0.8561  6 O 2.03-2.13
Hf 0.6439 0.6439 0.6439  6 O 2.03-2.13
Hf 0.3561 0.3561 0.3561  6 O 2.03-2.13
Hf 0.1439 0.1439 0.1439  6 O 2.03-2.13

---

[2]
Below is a relaxed CsCuCl3 crystal, with properties calculated at the GGA-PBE level.

Values from the calculation:
Corrected total energy (MP2020 scheme), eV per atom: -3.5649
Energy of formation from the pure elements, eV per atom: -1.457

a b c (Å): 7.3113 7.3113 6.0305
angles (deg): 90.00 90.00 120.00
Last column: nearest neighbours and their distance in Å.
Element x y z (fractional)
Cl 0.3064 0.1532 0.7753  2 Cu 2.45-2.46
Cl 0.6936 0.8468 0.2753  2 Cu 2.45-2.46
Cl 0.1532 0.8468 0.2753  2 Cu 2.45-2.46
Cl 0.1532 0.3064 0.2753  2 Cu 2.45-2.46
Cl 0.8468 0.6936 0.7753  2 Cu 2.45-2.46
Cl 0.8468 0.1532 0.7753  2 Cu 2.45-2.46
Cu 0.0000 0.0000 0.5238  6 Cl 2.45-2.46
Cu 0.0000 0.0000 0.0238  6 Cl 2.45-2.46
Cs 0.3333 0.6667 0.7552  12 Cl 3.66-3.88
Cs 0.6667 0.3333 0.2552  12 Cl 3.66-3.88

---

[3]
Below is a relaxed KTh2Se6 crystal, with properties calculated at the GGA-PBE level.

Values from the calculation:
Corrected total energy (MP2020 scheme), eV per atom: -5.8958
Energy of formation from the pure elements, eV per atom: -1.794

a b c (Å): 11.7591 11.7591 11.7591
angles (deg): 159.18 152.51 34.73
Last column: nearest neighbours and their distance in Å.
Element x y z (fractional)
Se 0.6413 0.3952 0.2461  2 Se 2.75-2.84, 2 Th 3.02
Se 0.8509 0.6048 0.2461  2 Se 2.75-2.84, 2 Th 3.02
Se 0.1491 0.3952 0.7539  2 Se 2.75-2.84, 2 Th 3.02
Se 0.2283 0.2283 0.0000  4 Th 2.99-3.01
Se 0.7717 0.7717 0.0000  4 Th 2.99-3.01
Se 0.3587 0.6048 0.7539  2 Se 2.75-2.84, 2 Th 3.02
Th 0.6781 0.1781 0.5000  8 Se 2.99-3.02
Th 0.3219 0.8219 0.5000  8 Se 2.99-3.02
K 0.0000 0.0000 0.0000  8 Se 3.47

---

| no. | volume (A^3/atom) |
| --- | --- |
| 1 | 14.1 |
| 2 | 27.9 |
| 3 | 29.6 |